DFT (GGA+U) results for a geometry-optimized V3HPb5O13 structure.

abc: 10.3612 10.3612 7.5634
angles: 90.00 90.00 120.00
Space group P6_3 (No. 173)
Symmetry-distinct sites (fractional):
V 0.0299 0.3993 0.0000 (multiplicity 6)
H 0.0000 0.0000 0.1924 (multiplicity 2)
Pb 0.0074 0.7561 0.0065 (multiplicity 6)
Pb 0.3333 0.6667 0.2553 (multiplicity 2)
Pb 0.3333 0.6667 0.7394 (multiplicity 2)
O 0.0000 0.0000 0.0634 (multiplicity 2)
O 0.0869 0.3369 0.8180 (multiplicity 6)
O 0.0964 0.3461 0.1815 (multiplicity 6)
O 0.1249 0.5951 0.9968 (multiplicity 6)
O 0.1635 0.6728 0.5032 (multiplicity 6)

Calculated values
- energy with MP2020 corrections (eV per cell) = -315.09
- energy of formation from the pure elements (eV/atom) = -2.001